Below is crystalline GdSiO4 at its relaxed geometry, with properties calculated at the PBE level.

Lattice parameters (Å, degrees): 3.9322 8.4004 9.1302 90.00 90.00 90.00
Closest atoms and distances in Å follow each position.
Element x y z (fractional)
Gd1 0.7576 0.0114 0.7052  6 O 2.33-2.48
Gd2 0.7576 0.5114 0.7948  6 O 2.33-2.48
Gd3 0.2576 0.9886 0.2948  6 O 2.33-2.48
Gd4 0.2576 0.4886 0.2052  6 O 2.33-2.48
Si1 0.8138 0.2768 0.4563  4 O 1.64-1.71
Si2 0.3138 0.7232 0.5437  4 O 1.64-1.71
Si3 0.3138 0.2232 0.9563  4 O 1.64-1.71
Si4 0.8138 0.7768 0.0437  4 O 1.64-1.71
O1 0.7547 0.0844 0.4200  1 Si 1.67
O2 0.7547 0.5844 0.0800  1 Si 1.67
O3 0.2547 0.9156 0.5800  1 Si 1.67
O4 0.2547 0.4156 0.9200  1 Si 1.67
O5 0.7533 0.4188 0.3362  1 Si 1.64
O6 0.7533 0.9188 0.1638  1 Si 1.64
O7 0.2533 0.5812 0.6638  1 Si 1.64
O8 0.2533 0.0812 0.8362  1 Si 1.64
O9 0.7528 0.2963 0.6330  1 Si 1.64
O10 0.7528 0.7963 0.8670  1 Si 1.64
O11 0.2528 0.7037 0.3670  1 Si 1.64
O12 0.2528 0.2037 0.1330  1 Si 1.64
O13 0.7441 0.2296 0.9330  1 Si 1.71
O14 0.7441 0.7296 0.5670  1 Si 1.71
O15 0.2441 0.7704 0.0670  1 Si 1.71
O16 0.2441 0.2704 0.4330  1 Si 1.71

Values from the calculation:
- theoretical density (Mg/m³) = 5.491
- DFT total energy (eV per cell) = -221.5
- space group = Pna2_1


Below is crystalline La3MgTi2N3O4 at its relaxed geometry, with properties calculated at the PBE level.

Lattice parameters (Å, degrees): 3.7936 13.4276 3.7936 81.88 90.00 98.12
Closest atoms and distances in Å follow each position.
Element x y z (fractional)
La1 0.5000 0.0000 0.5000  4 N 2.68
La2 0.6548 0.3096 0.3452  2 O 2.32, 2 N 2.43
La3 0.3452 0.6904 0.6548  2 O 2.32, 2 N 2.43
Mg1 0.7500 0.5000 0.7500  4 O 2.15
Ti1 0.9246 0.8493 0.0754  3 N 1.98, 2 O 2.04
Ti2 0.0754 0.1507 0.9246  3 N 1.98, 2 O 2.04
N1 0.0000 0.0000 0.0000  2 Ti 1.98
N2 0.0972 0.1945 0.4028  2 Ti 1.98
N3 0.4028 0.8055 0.0972  2 Ti 1.98
O1 0.7887 0.5774 0.2113  2 Mg 2.15
O2 0.2113 0.4226 0.7887  2 Mg 2.15
O3 0.6043 0.2086 0.8957  2 Ti 2.04
O4 0.8957 0.7914 0.6043  2 Ti 2.04

Values from the calculation:
- theoretical density (Mg/m³) = 5.637
- DFT total energy (eV per cell) = -103.5
- space group = I-4m2


Below is crystalline AgGeO3 at its relaxed geometry, with properties calculated at the PBE level.

Lattice parameters (Å, degrees): 10.3231 9.2734 12.6470 90.00 90.00 90.00
Closest atoms and distances in Å follow each position.
Element x y z (fractional)
Ag1 0.0000 0.0000 0.0000  4 O 2.12
Ag2 0.0000 0.0000 0.2532  4 O 2.12-2.13
Ag3 0.0000 0.5000 0.0000  4 O 2.13
Ag4 0.0000 0.0000 0.5000  4 O 2.13
Ag5 0.0000 0.5000 0.2490  4 O 2.12
Ag6 0.0000 0.0000 0.7468  4 O 2.12-2.13
Ag7 0.0000 0.5000 0.5000  4 O 2.12
Ag8 0.0000 0.5000 0.7510  4 O 2.12
Ag9 0.5000 0.0000 0.0000  4 O 2.13
Ag10 0.5000 0.0000 0.2490  4 O 2.12
Ag11 0.5000 0.0000 0.5000  4 O 2.12
Ag12 0.5000 0.5000 0.0000  4 O 2.12
Ag13 0.5000 0.5000 0.2532  4 O 2.12-2.13
Ag14 0.5000 0.5000 0.5000  4 O 2.13
Ag15 0.5000 0.0000 0.7510  4 O 2.12
Ag16 0.5000 0.5000 0.7468  4 O 2.12-2.13
Ge1 0.2045 0.7518 0.1252  4 O 1.77-1.84
Ge2 0.2045 0.7518 0.8748  4 O 1.77-1.84
Ge3 0.2059 0.7518 0.3751  4 O 1.77-1.84
Ge4 0.2059 0.7518 0.6249  4 O 1.77-1.84
Ge5 0.2941 0.2518 0.3751  4 O 1.77-1.84
Ge6 0.2941 0.2518 0.6249  4 O 1.77-1.84
Ge7 0.2955 0.2518 0.1252  4 O 1.77-1.84
Ge8 0.2955 0.2518 0.8748  4 O 1.77-1.84
Ge9 0.7045 0.7482 0.1252  4 O 1.77-1.84
Ge10 0.7045 0.7482 0.8748  4 O 1.77-1.84
Ge11 0.7059 0.7482 0.3751  4 O 1.77-1.84
Ge12 0.7059 0.7482 0.6249  4 O 1.77-1.84
Ge13 0.7941 0.2482 0.3751  4 O 1.77-1.84
Ge14 0.7941 0.2482 0.6249  4 O 1.77-1.84
Ge15 0.7955 0.2482 0.1252  4 O 1.77-1.84
Ge16 0.7955 0.2482 0.8748  4 O 1.77-1.84
O1 0.1038 0.5984 0.3742  1 Ge 1.77
O2 0.1038 0.5984 0.6258  1 Ge 1.77
O3 0.1084 0.9103 0.1264  1 Ge 1.77
O4 0.1084 0.9103 0.8736  1 Ge 1.77
O5 0.1107 0.5918 0.1247  1 Ge 1.77
O6 0.1107 0.5918 0.8753  1 Ge 1.77
O7 0.1191 0.9167 0.3766  1 Ge 1.77
O8 0.1191 0.9167 0.6234  1 Ge 1.77
O9 0.2035 0.2463 0.5000  2 Ge 1.84
O10 0.2057 0.2533 0.0000  2 Ge 1.84
O11 0.2043 0.2509 0.2498  2 Ge 1.84
O12 0.2043 0.2509 0.7502  2 Ge 1.84
O13 0.2957 0.7509 0.2498  2 Ge 1.84
O14 0.2957 0.7509 0.7502  2 Ge 1.84
O15 0.2943 0.7533 0.0000  2 Ge 1.84
O16 0.2965 0.7463 0.5000  2 Ge 1.84
O17 0.3809 0.4167 0.3766  1 Ge 1.77
O18 0.3809 0.4167 0.6234  1 Ge 1.77
O19 0.3893 0.0918 0.1247  1 Ge 1.77
O20 0.3893 0.0918 0.8753  1 Ge 1.77
O21 0.3916 0.4103 0.1264  1 Ge 1.77
O22 0.3916 0.4103 0.8736  1 Ge 1.77
O23 0.3962 0.0984 0.3742  1 Ge 1.77
O24 0.3962 0.0984 0.6258  1 Ge 1.77
O25 0.6038 0.9016 0.3742  1 Ge 1.77
O26 0.6038 0.9016 0.6258  1 Ge 1.77
O27 0.6084 0.5897 0.1264  1 Ge 1.77
O28 0.6084 0.5897 0.8736  1 Ge 1.77
O29 0.6107 0.9082 0.1247  1 Ge 1.77
O30 0.6107 0.9082 0.8753  1 Ge 1.77
O31 0.6191 0.5833 0.3766  1 Ge 1.77
O32 0.6191 0.5833 0.6234  1 Ge 1.77
O33 0.7035 0.2537 0.5000  2 Ge 1.84
O34 0.7057 0.2467 0.0000  2 Ge 1.84
O35 0.7043 0.2491 0.2498  2 Ge 1.84
O36 0.7043 0.2491 0.7502  2 Ge 1.84
O37 0.7957 0.7491 0.2498  2 Ge 1.84
O38 0.7957 0.7491 0.7502  2 Ge 1.84
O39 0.7943 0.7467 0.0000  2 Ge 1.84
O40 0.7965 0.7537 0.5000  2 Ge 1.84
O41 0.8809 0.0833 0.3766  1 Ge 1.77
O42 0.8809 0.0833 0.6234  1 Ge 1.77
O43 0.8893 0.4082 0.1247  1 Ge 1.77
O44 0.8893 0.4082 0.8753  1 Ge 1.77
O45 0.8916 0.0897 0.1264  1 Ge 1.77
O46 0.8916 0.0897 0.8736  1 Ge 1.77
O47 0.8962 0.4016 0.3742  1 Ge 1.77
O48 0.8962 0.4016 0.6258  1 Ge 1.77

Values from the calculation:
- theoretical density (Mg/m³) = 5.015
- DFT total energy (eV per cell) = -431.0
- space group = Pbam


Computed calculated volume (Å³/cell) in order:
302, 189, 1211